Entry 1:
The following is a DFT calculation (PBE) of a relaxed GdO2 crystal.

Summary:
The total energy comes out at -63.795 eV per cell. Its space-group type is No. 129. The energy of formation from the pure elements comes out at -3100 meV/atom.

abc: 3.3734 3.3734 6.4654
angles: 90.00 90.00 90.00
Sites, in units of the cell vectors:
1 O 0.5000 0.5000 0.0000
2 Gd 0.0000 0.5000 0.7321
3 Gd 0.5000 0.0000 0.2679
4 O 0.5000 0.0000 0.6354
5 O 0.0000 0.0000 0.0000
6 O 0.0000 0.5000 0.3646

***

Entry 2:
The following is a DFT calculation (PBE) of a relaxed RuO2F6 crystal.

Summary:
The total energy comes out at -166.237 eV per cell. Its space-group type is No. 206. The energy of formation from the pure elements comes out at -1555 meV/atom.

abc: 9.2485 9.2485 9.2485
angles: 109.47 109.47 109.47
Sites, in units of the cell vectors:
1 F 0.2678 0.3098 0.8454
2 F 0.3098 0.8454 0.2678
3 O 0.9354 0.5000 0.0000
4 F 0.4580 0.5356 0.1902
5 F 0.9223 0.9580 0.7678
6 Ru 0.0000 0.0000 0.0000
7 F 0.7322 0.6902 0.1546
8 F 0.9580 0.7678 0.9223
9 F 0.7678 0.9223 0.9580
10 Ru 0.5000 0.0000 0.5000
11 F 0.3454 0.0356 0.5777
12 F 0.5777 0.3454 0.0356
13 F 0.6902 0.1546 0.7322
14 F 0.8454 0.2678 0.3098
15 Ru 0.5000 0.5000 0.0000
16 O 0.0000 0.9354 0.5000
17 O 0.4354 0.4354 0.4354
18 F 0.1546 0.7322 0.6902
19 F 0.8098 0.5420 0.4644
20 F 0.1902 0.4580 0.5356
21 O 0.5646 0.5646 0.5646
22 F 0.0420 0.2322 0.0777
23 O 0.0646 0.5000 0.0000
24 F 0.4644 0.8098 0.5420
25 F 0.2322 0.0777 0.0420
26 F 0.0356 0.5777 0.3454
27 Ru 0.0000 0.5000 0.5000
28 O 0.5000 0.0000 0.0646
29 F 0.0777 0.0420 0.2322
30 F 0.9644 0.4223 0.6546
31 O 0.5000 0.0000 0.9354
32 F 0.5420 0.4644 0.8098
33 F 0.5356 0.1902 0.4580
34 O 0.0000 0.0646 0.5000
35 F 0.6546 0.9644 0.4223
36 F 0.4223 0.6546 0.9644

***

Entry 3:
The following is a DFT calculation (PBE) of a relaxed DySe crystal.

Summary:
The total energy comes out at -11.588 eV per cell. Its space-group type is No. 225. The energy of formation from the pure elements comes out at -1979 meV/atom.

abc: 4.0763 4.0763 4.0763
angles: 60.00 60.00 60.00
Sites, in units of the cell vectors:
1 Se 0.5000 0.5000 0.5000
2 Dy 0.0000 0.0000 0.0000

***

Entry 4:
The following is a DFT calculation (PBE) of a relaxed SmFeC2 crystal.

Summary:
The total energy comes out at -32.475 eV per cell. Its space-group type is No. 38. The energy of formation from the pure elements comes out at -207 meV/atom.

abc: 3.7504 3.7504 3.8171
angles: 90.00 90.00 105.06
Sites, in units of the cell vectors:
1 C 0.1444 0.5478 0.5000
2 C 0.4522 0.8556 0.5000
3 Fe 0.6131 0.3869 0.5000
4 Sm 0.0053 0.9947 0.0000

***

Entry 5:
The following is a DFT calculation (PBE) of a relaxed PmSmHg2 crystal.

Summary:
The total energy comes out at -11.969 eV per cell. Its space-group type is No. 225. The energy of formation from the pure elements comes out at -473 meV/atom.

abc: 5.3868 5.3868 5.3868
angles: 60.00 60.00 60.00
Sites, in units of the cell vectors:
1 Pm 0.5000 0.5000 0.5000
2 Sm 0.0000 0.0000 0.0000
3 Hg 0.7500 0.7500 0.7500
4 Hg 0.2500 0.2500 0.2500

***

Entry 6:
The following is a DFT calculation (PBE) of a relaxed Li4NbO4 crystal.

Summary:
The total energy comes out at -56.480 eV per cell. For the distance to the lowest polymorph of the same formula, the calculation gives 0.0 meV per atom. Its space-group type is No. 87. The energy of formation from the pure elements comes out at -2411 meV/atom.

abc: 5.7164 5.7164 5.7164
angles: 94.88 94.88 146.10
Sites, in units of the cell vectors:
1 Nb 0.0000 0.0000 0.0000
2 Li 0.8412 0.6636 0.5048
3 O 0.0782 0.7573 0.8355
4 Li 0.3364 0.8412 0.1776
5 Li 0.6636 0.1588 0.8224
6 O 0.2427 0.0782 0.3209
7 O 0.9218 0.2427 0.1645
8 Li 0.1588 0.3364 0.4952
9 O 0.7573 0.9218 0.6791

***

Entry 7:
The following is a DFT calculation (PBE) of a relaxed PbSe crystal.

Summary:
The total energy comes out at -16.367 eV per cell. Its space-group type is No. 42. The energy of formation from the pure elements comes out at -724 meV/atom.

abc: 4.4149 4.4149 12.3993
angles: 100.23 100.23 90.13
Sites, in units of the cell vectors:
1 Pb 0.8093 0.8053 0.6145
2 Se 0.3256 0.2956 0.6212
3 Se 0.7044 0.6744 0.3788
4 Pb 0.1947 0.1907 0.3855

***

Entry 8:
The following is a DFT calculation (PBE) of a relaxed Na5Zr2Ti2Si3P3O24 crystal.

Summary:
The total energy comes out at -882.051 eV per cell. Its space-group type is No. 1. The energy of formation from the pure elements comes out at -3070 meV/atom.

abc: 9.0107 9.0240 22.5815
angles: 89.91 90.15 120.02
Sites, in units of the cell vectors:
1 O 0.7027 0.5419 0.5276
2 Na 0.9961 0.9901 0.4997
3 Ti 0.6700 0.3364 0.1830
4 O 0.4923 0.3578 0.4161
5 Na 0.9642 0.6663 0.9175
6 O 0.5118 0.8231 0.7611
7 Na 0.6599 0.3294 0.3276
8 O 0.8644 0.4980 0.1389
9 O 0.1693 0.4970 0.2551
10 O 0.6873 0.5218 0.2413
11 O 0.1460 0.6366 0.0739
12 O 0.8364 0.8184 0.5891
13 Na 0.9651 0.2992 0.4119
14 O 0.5468 0.8533 0.4770
15 O 0.1942 0.1696 0.0874
16 Na 0.0299 0.7000 0.5803
17 O 0.5079 0.1486 0.9244
18 O 0.6344 0.1321 0.1369
19 Si 0.3356 0.9595 0.9177
20 O 0.3033 0.8300 0.9751
21 Na 0.0383 0.3394 0.0833
22 P 0.2866 0.2966 0.7557
23 O 0.4907 0.1286 0.6425
24 O 0.4962 0.8471 0.3601
25 O 0.8042 0.8275 0.9125
26 O 0.8705 0.3670 0.9207
27 P 0.3329 0.3797 0.4123
28 Na 0.6680 0.3277 0.8380
29 O 0.5047 0.3606 0.1402
30 O 0.5197 0.6809 0.2561
31 O 0.1780 0.0137 0.5881
32 Na 0.0005 0.6356 0.2493
33 Si 0.9520 0.6183 0.0793
34 O 0.1810 0.9688 0.1953
35 Na 0.3655 0.9959 0.7525
36 O 0.8363 0.5220 0.0208
37 Si 0.6251 0.9561 0.4148
38 O 0.9871 0.8058 0.8099
39 O 0.0287 0.1980 0.9097
40 Zr 0.0005 0.0027 0.6508
41 Zr 0.6661 0.3346 0.6910
42 O 0.8207 0.9894 0.4112
43 P 0.0477 0.3791 0.9162
44 O 0.4985 0.8691 0.0752
45 Na 0.3344 0.0290 0.4169
46 O 0.3135 0.8365 0.2551
47 O 0.4811 0.1623 0.2413
48 P 0.3041 0.0036 0.2494
49 O 0.1739 0.1970 0.4080
50 Zr 0.3404 0.6689 0.5195
51 O 0.8583 0.4914 0.4159
52 O 0.1340 0.4944 0.5795
53 O 0.2174 0.0264 0.3053
54 Si 0.0003 0.3039 0.2483
55 P 0.9571 0.3324 0.5830
56 O 0.0344 0.8197 0.6986
57 Ti 0.0010 0.0093 0.8550
58 O 0.4984 0.6498 0.5828
59 O 0.1831 0.2139 0.6983
60 O 0.1559 0.4598 0.9743
61 O 0.1932 0.1721 0.8084
62 O 0.7833 0.9713 0.6915
63 O 0.6489 0.5119 0.6435
64 Na 0.3378 0.6447 0.6711
65 O 0.3039 0.4564 0.4692
66 O 0.6365 0.1435 0.4158
67 O 0.1433 0.5000 0.8639
68 Na 0.2962 0.9639 0.0805
69 P 0.0054 0.7103 0.7561
70 Zr 0.9964 0.9999 0.1464
71 O 0.5098 0.6446 0.8621
72 O 0.8306 0.3272 0.2412
73 O 0.3598 0.8615 0.8594
74 O 0.4764 0.3052 0.0253
75 O 0.1432 0.6449 0.3572
76 Si 0.0428 0.6680 0.4148
77 Na 0.3555 0.6643 0.1685
78 O 0.5277 0.6884 0.9721
79 Si 0.6655 0.6266 0.5859
80 Zr 0.6650 0.3414 0.4781
81 Si 0.3860 0.3437 0.0827
82 O 0.3491 0.8487 0.5812
83 O 0.3589 0.5090 0.0750
84 O 0.8668 0.3573 0.6369
85 O 0.6445 0.5079 0.9224
86 O 0.7875 0.8132 0.1941
87 P 0.6208 0.6677 0.9177
88 Ti 0.3450 0.6763 0.8177
89 O 0.1572 0.9681 0.9107
90 O 0.1515 0.6917 0.4756
91 O 0.6773 0.1601 0.7533
92 Zr 0.9898 0.9949 0.3487
93 O 0.9701 0.1691 0.5890
94 O 0.3063 0.4740 0.7625
95 Ti 0.3309 0.6675 0.3133
96 O 0.6928 0.1641 0.0265
97 O 0.0358 0.8443 0.4095
98 Ti 0.3302 0.6629 0.0182
99 O 0.4623 0.3027 0.7515
100 P 0.6952 0.6965 0.2480
101 O 0.9848 0.8133 0.0856
102 Si 0.3706 0.0411 0.5837
103 P 0.6611 0.0477 0.0811
104 Na 0.6607 0.9657 0.5863
105 Ti 0.6534 0.3283 0.9800
106 O 0.8377 0.0134 0.8081
107 O 0.0260 0.2102 0.1900
108 O 0.1697 0.6958 0.7607
109 O 0.8171 0.7808 0.3023
110 O 0.3496 0.4896 0.3581
111 O 0.9719 0.1858 0.3071
112 O 0.8509 0.3052 0.5255
113 O 0.8260 0.0338 0.0867
114 Si 0.7050 0.9939 0.7539
115 O 0.4618 0.1493 0.5233
116 O 0.8447 0.5318 0.7513
117 Na 0.9923 0.9998 0.9960

***

Entry 9:
The following is a DFT calculation (PBE) of a relaxed SiO2 crystal.

Summary:
The total energy comes out at -92.098 eV per cell. The value obtained for the largest piezoelectric modulus is 0.3 C/m². Its space-group type is No. 1. The energy of formation from the pure elements comes out at -3026 meV/atom.

abc: 5.2779 5.5022 5.9998
angles: 95.82 99.90 118.12
Sites, in units of the cell vectors:
1 O 0.1571 0.6293 0.3100
2 O 0.0344 0.0000 0.2057
3 O 0.8632 0.4775 0.8901
4 O 0.3852 0.9373 0.9529
5 Si 0.1201 0.7692 0.0829
6 O 0.3099 0.2678 0.6803
7 Si 0.5227 0.2694 0.9142
8 O 0.8514 0.7648 0.5586
9 Si 0.0035 0.0665 0.4738
10 Si 0.8369 0.5023 0.3899
11 O 0.5554 0.4302 0.1727
12 O 0.7937 0.2117 0.4677

***

Entry 10:
The following is a DFT calculation (PBE) of a relaxed UF5 crystal.

Summary:
The total energy comes out at -41.817 eV per cell. For the distance to the lowest polymorph of the same formula, the calculation gives 0.0 meV per atom. Its space-group type is No. 87. The energy of formation from the pure elements comes out at -3877 meV/atom.

abc: 5.3676 5.3676 5.3676
angles: 100.28 100.28 130.02
Sites, in units of the cell vectors:
1 F 0.1043 0.7242 0.8286
2 F 0.2758 0.1043 0.3801
3 F 0.7242 0.8957 0.6199
4 F 0.8957 0.2758 0.1714
5 F 0.5000 0.5000 0.0000
6 U 0.0000 0.0000 0.0000

***

Entry 11:
The following is a DFT calculation (PBE) of a relaxed NaLiGe4O9 crystal.

Summary:
The total energy comes out at -370.667 eV per cell. Its space-group type is No. 29. The energy of formation from the pure elements comes out at -2173 meV/atom.

abc: 4.7422 9.4757 16.1877
angles: 90.00 90.00 90.00
Sites, in units of the cell vectors:
1 Li 0.5429 0.7670 0.7349
2 O 0.8554 0.6218 0.3694
3 Ge 0.5018 0.4993 0.6549
4 O 0.7213 0.4166 0.2419
5 Na 0.4762 0.9815 0.5455
6 O 0.1446 0.1218 0.6306
7 O 0.2755 0.6640 0.6625
8 Li 0.4571 0.2670 0.2651
9 O 0.7245 0.1640 0.3375
10 O 0.2649 0.8370 0.3364
11 O 0.7351 0.8370 0.8364
12 O 0.2773 0.9126 0.9272
13 O 0.2773 0.4126 0.5728
14 O 0.1713 0.8653 0.1432
15 O 0.1572 0.2619 0.9967
16 O 0.7353 0.0876 0.7621
17 Ge 0.0076 0.2903 0.5954
18 Li 0.4571 0.7670 0.2349
19 Ge 0.9914 0.7078 0.5979
20 O 0.2715 0.5851 0.0712
21 Ge 0.9924 0.2903 0.0954
22 O 0.2715 0.0851 0.4288
23 O 0.7245 0.6640 0.1625
24 O 0.7213 0.9166 0.2581
25 O 0.8428 0.2619 0.4967
26 Na 0.4762 0.4815 0.9545
27 O 0.2649 0.3370 0.1636
28 Ge 0.9994 0.0011 0.2065
29 O 0.2647 0.5876 0.2379
30 Ge 0.0086 0.2078 0.4021
31 O 0.7353 0.5876 0.7379
32 O 0.7351 0.3370 0.6636
33 Ge 0.0006 0.5011 0.7935
34 O 0.2787 0.4166 0.7419
35 Na 0.5238 0.4815 0.4545
36 Ge 0.9914 0.2078 0.9021
37 Ge 0.0076 0.7903 0.9046
38 Ge 0.4982 0.9993 0.3451
39 O 0.8287 0.3653 0.8568
40 O 0.2787 0.9166 0.7581
41 O 0.8554 0.1218 0.1306
42 O 0.7227 0.4126 0.0728
43 O 0.7285 0.0851 0.9288
44 Ge 0.0006 0.0011 0.7065
45 Ge 0.9994 0.5011 0.2935
46 O 0.2755 0.1640 0.8375
47 O 0.7285 0.5851 0.5712
48 O 0.1713 0.3653 0.3568
49 O 0.1572 0.7619 0.5033
50 O 0.2647 0.0876 0.2621
51 O 0.8287 0.8653 0.6432
52 Ge 0.0086 0.7078 0.0979
53 O 0.1446 0.6218 0.8694
54 Ge 0.4982 0.4993 0.1549
55 Na 0.5238 0.9815 0.0455
56 O 0.7227 0.9126 0.4272
57 Li 0.5429 0.2670 0.7651
58 O 0.8428 0.7619 0.0033
59 Ge 0.9924 0.7903 0.4046
60 Ge 0.5018 0.9993 0.8451

***

Entry 12:
The following is a DFT calculation (PBE) of a relaxed As8S9 crystal.

Summary:
The total energy comes out at -217.074 eV per cell. For the distance to the lowest polymorph of the same formula, the calculation gives 256.2 meV per atom. Its space-group type is No. 1. The energy of formation from the pure elements comes out at -140 meV/atom.

abc: 8.6040 9.9071 22.2252
angles: 95.26 95.23 99.80
Sites, in units of the cell vectors:
1 S 0.8521 0.8724 0.3878
2 S 0.9880 0.2391 0.6555
3 As 0.5777 0.0305 0.0053
4 S 0.4413 0.0912 0.1279
5 S 0.1035 0.5861 0.5754
6 As 0.3542 0.1569 0.0329
7 As 0.4017 0.6498 0.9881
8 S 0.4953 0.2532 0.1920
9 As 0.3899 0.2057 0.6858
10 S 0.9513 0.2688 0.3430
11 As 0.6396 0.9898 0.6285
12 S 0.0825 0.1000 0.1858
13 S 0.8425 0.9330 0.3013
14 As 0.9523 0.1265 0.9169
15 S 0.4999 0.4955 0.5277
16 As 0.0189 0.3555 0.2591
17 S 0.1029 0.7072 0.8625
18 As 0.1906 0.9233 0.8709
19 S 0.7326 0.5203 0.3190
20 S 0.4916 0.9399 0.8838
21 S 0.3039 0.8056 0.4699
22 As 0.0882 0.8691 0.1694
23 S 0.5258 0.7517 0.8482
24 As 0.3321 0.7273 0.5654
25 As 0.1241 0.3781 0.0378
26 S 0.5270 0.1760 0.6038
27 As 0.9262 0.2634 0.8478
28 As 0.2322 0.7991 0.7149
29 S 0.8453 0.1056 0.7017
30 As 0.6615 0.5244 0.4192
31 As 0.9886 0.5063 0.3531
32 S 0.1858 0.7978 0.2554
33 S 0.3419 0.4975 0.0939
34 S 0.5404 0.8862 0.4689
35 As 0.2739 0.2358 0.2524
36 As 0.6887 0.8395 0.7721
37 As 0.9136 0.7534 0.2428
38 S 0.7452 0.2215 0.0071
39 As 0.5983 0.7496 0.3865
40 S 0.0009 0.5602 0.0123
41 S 0.1532 0.9755 0.7709
42 As 0.5519 0.3802 0.0553
43 As 0.1019 0.8141 0.6091
44 S 0.5440 0.4877 0.9660
45 As 0.4765 0.9778 0.7168
46 S 0.3322 0.3585 0.4768
47 As 0.3945 0.1678 0.3431
48 S 0.1554 0.5120 0.9512
49 As 0.3812 0.4032 0.3785
50 S 0.1604 0.1443 0.6194
51 S 0.6313 0.6920 0.6945